(1)
An optimized crystal structure of Rb2MgFe2O4, computed with PBE+U.

Output
**Total moment**: 0.889 μB per atom
**Symmetry**: C2/m, No. 12
**Relative energy among the computed polymorphs**: 0.116 eV/atom

Cell lengths 6.8375, 6.8375, 7.5683 Å; angles 101.10, 101.10, 28.48 degrees
Fractional positions:
Rb (0.2453, 0.2453, 0.2324)
Rb (0.7547, 0.7547, 0.7676)
Mg (0.0000, 0.0000, 0.5000)
Fe (0.4800, 0.4800, 0.8240)
Fe (0.5200, 0.5200, 0.1760)
O (0.3917, 0.3917, 0.0052)
O (0.4175, 0.4175, 0.5739)
O (0.5825, 0.5825, 0.4261)
O (0.6083, 0.6083, 0.9948)

=====

(2)
An optimized crystal structure of Rb8MgFe2O8, computed with PBE+U.

Output
**Total moment**: 0.526 μB per atom
**Symmetry**: P-1, No. 2
**Relative energy among the computed polymorphs**: 0.000 eV/atom

Cell lengths 6.9206, 7.2233, 9.4620 Å; angles 75.35, 80.60, 63.03 degrees
Fractional positions:
Rb (0.1947, 0.2433, 0.0965)
Rb (0.2049, 0.4675, 0.6205)
Rb (0.2256, 0.9758, 0.8479)
Rb (0.2784, 0.9737, 0.4671)
Rb (0.7216, 0.0263, 0.5329)
Rb (0.7744, 0.0242, 0.1521)
Rb (0.7951, 0.5325, 0.3795)
Rb (0.8053, 0.7567, 0.9035)
Mg (0.5000, 0.5000, 0.0000)
Fe (0.2818, 0.6175, 0.2411)
Fe (0.7182, 0.3825, 0.7589)
O (0.0720, 0.7900, 0.3659)
O (0.1690, 0.6412, 0.0581)
O (0.4066, 0.3192, 0.3271)
O (0.4892, 0.3071, 0.8668)
O (0.5108, 0.6929, 0.1332)
O (0.5934, 0.6808, 0.6729)
O (0.8310, 0.3588, 0.9419)
O (0.9280, 0.2100, 0.6341)

=====

(3)
An optimized crystal structure of RbMg6FeO8, computed with PBE+U.

Output
**Total moment**: 0.312 μB per atom
**Symmetry**: P4/mmm, No. 123
**VASP energy**: -5.498 eV/atom

Cell lengths 4.4731, 4.4731, 8.9369 Å; angles 90.00, 90.00, 90.00 degrees
Fractional positions:
Rb (0.0000, 0.0000, 0.0000)
Mg (0.0000, 0.0000, 0.5000)
Mg (0.0000, 0.5000, 0.2646)
Mg (0.0000, 0.5000, 0.7354)
Mg (0.5000, 0.0000, 0.2646)
Mg (0.5000, 0.0000, 0.7354)
Mg (0.5000, 0.5000, 0.5000)
Fe (0.5000, 0.5000, 0.0000)
O (0.0000, 0.0000, 0.2814)
O (0.0000, 0.0000, 0.7186)
O (0.0000, 0.5000, 0.0000)
O (0.0000, 0.5000, 0.5000)
O (0.5000, 0.0000, 0.0000)
O (0.5000, 0.0000, 0.5000)
O (0.5000, 0.5000, 0.2495)
O (0.5000, 0.5000, 0.7505)

=====

(4)
An optimized crystal structure of Rb2MgFe2O4, computed with PBE+U.

Output
**Total moment**: 0.444 μB per atom
**Symmetry**: P1, No. 1
**Relative energy among the computed polymorphs**: 0.224 eV/atom

Cell lengths 5.8715, 5.8760, 6.1021 Å; angles 64.70, 64.97, 62.65 degrees
Fractional positions:
Rb (0.0000, 0.0000, 0.0000)
Rb (0.2186, 0.2187, 0.3570)
Mg (0.4908, 0.4912, 0.6619)
Fe (0.5758, 0.5760, 0.2056)
Fe (0.8000, 0.7991, 0.6004)
O (0.1870, 0.6578, 0.5211)
O (0.5515, 0.5529, 0.9171)
O (0.6619, 0.1858, 0.5247)
O (0.7039, 0.7076, 0.3553)

=====

(5)
An optimized crystal structure of RbMg14FeO16, computed with PBE+U.

Output
**Total moment**: 0.147 μB per atom
**Symmetry**: Pmmm, No. 47
**Relative energy among the computed polymorphs**: 0.000 eV/atom

Cell lengths 4.3789, 8.6610, 8.7445 Å; angles 90.00, 90.00, 90.00 degrees
Fractional positions:
Rb (0.0000, 0.0000, 0.0000)
Mg (0.0000, 0.0000, 0.5000)
Mg (0.0000, 0.2505, 0.2573)
Mg (0.0000, 0.2505, 0.7427)
Mg (0.0000, 0.5000, 0.5000)
Mg (0.0000, 0.7495, 0.2573)
Mg (0.0000, 0.7495, 0.7427)
Mg (0.5000, 0.0000, 0.2602)
Mg (0.5000, 0.0000, 0.7398)
Mg (0.5000, 0.2504, 0.5000)
Mg (0.5000, 0.2552, 0.0000)
Mg (0.5000, 0.5000, 0.2535)
Mg (0.5000, 0.5000, 0.7465)
Mg (0.5000, 0.7448, 0.0000)
Mg (0.5000, 0.7496, 0.5000)
Fe (0.0000, 0.5000, 0.0000)
O (0.0000, 0.0000, 0.2797)
O (0.0000, 0.0000, 0.7203)
O (0.0000, 0.2574, 0.5000)
O (0.0000, 0.2810, 0.0000)
O (0.0000, 0.5000, 0.2549)
O (0.0000, 0.5000, 0.7451)
O (0.0000, 0.7190, 0.0000)
O (0.0000, 0.7426, 0.5000)
O (0.5000, 0.0000, 0.0000)
O (0.5000, 0.0000, 0.5000)
O (0.5000, 0.2505, 0.2491)
O (0.5000, 0.2505, 0.7509)
O (0.5000, 0.5000, 0.0000)
O (0.5000, 0.5000, 0.5000)
O (0.5000, 0.7495, 0.2491)
O (0.5000, 0.7495, 0.7509)

=====

(6)
An optimized crystal structure of Rb2MgFe2O4, computed with PBE+U.

Output
**Total moment**: 0.889 μB per atom
**Symmetry**: C2, No. 5
**Relative energy among the computed polymorphs**: 0.000 eV/atom

Cell lengths 5.8561, 5.8561, 5.7949 Å; angles 108.27, 108.27, 111.43 degrees
Fractional positions:
Rb (0.0000, 0.0000, 0.0000)
Rb (0.7407, 0.2593, 0.5000)
Mg (0.6222, 0.3778, 0.0000)
Fe (0.3421, 0.6579, 0.0000)
Fe (0.3461, 0.6539, 0.5000)
O (0.0368, 0.5523, 0.1184)
O (0.3929, 0.4255, 0.6965)
O (0.4477, 0.9632, 0.8816)
O (0.5745, 0.6071, 0.3035)

=====

(7)
An optimized crystal structure of Rb6MgFe2O6, computed with PBE+U.

Output
**Total moment**: 0.663 μB per atom
**Symmetry**: P1, No. 1
**Relative energy among the computed polymorphs**: 0.000 eV/atom

Cell lengths 6.2504, 7.4009, 8.2148 Å; angles 103.04, 102.66, 99.67 degrees
Fractional positions:
Rb (0.0000, 0.0000, 0.0000)
Rb (0.0243, 0.3390, 0.3535)
Rb (0.2680, 0.6363, 0.1176)
Rb (0.3987, 0.9736, 0.6620)
Rb (0.5390, 0.4904, 0.7005)
Rb (0.8231, 0.8249, 0.3532)
Mg (0.9569, 0.2935, 0.7731)
Fe (0.5106, 0.1527, 0.3303)
Fe (0.5453, 0.2832, 0.0349)
O (0.2332, 0.0065, 0.3328)
O (0.2637, 0.2704, 0.8564)
O (0.4943, 0.3969, 0.2878)
O (0.6036, 0.0387, 0.1302)
O (0.7425, 0.1785, 0.5462)
O (0.8193, 0.3662, 0.9629)

=====

(8)
An optimized crystal structure of MgFe4S6O46, computed with PBE+U.

Output
**Total moment**: 0.692 μB per atom
**Symmetry**: P-1, No. 2
**Relative energy among the computed polymorphs**: 0.000 eV/atom

Cell lengths 7.2596, 7.5791, 17.9480 Å; angles 79.87, 86.46, 77.07 degrees
Fractional positions:
Mg (0.0000, 0.0000, 0.0000)
Fe (0.1005, 0.6491, 0.3114)
Fe (0.4765, 0.3125, 0.3167)
Fe (0.5235, 0.6875, 0.6833)
Fe (0.8995, 0.3509, 0.6886)
S (0.1289, 0.2725, 0.4303)
S (0.1613, 0.4074, 0.1886)
S (0.3023, 0.0528, 0.7415)
S (0.6977, 0.9472, 0.2585)
S (0.8387, 0.5926, 0.8114)
S (0.8711, 0.7275, 0.5697)
O (0.0017, 0.1443, 0.4367)
O (0.0186, 0.3116, 0.2255)
O (0.0282, 0.4504, 0.3818)
O (0.0932, 0.0552, 0.0925)
O (0.1246, 0.6024, 0.2078)
O (0.1341, 0.8603, 0.3788)
O (0.1573, 0.2073, 0.7004)
O (0.1673, 0.4226, 0.1062)
O (0.1707, 0.2149, 0.9346)
O (0.1789, 0.3060, 0.5029)
O (0.1900, 0.9133, 0.3126)
O (0.2243, 0.9630, 0.8112)
O (0.2910, 0.7638, 0.9834)
O (0.3016, 0.2805, 0.9499)
O (0.3059, 0.1911, 0.3869)
O (0.3455, 0.5642, 0.7121)
O (0.3506, 0.6599, 0.5316)
O (0.3533, 0.3102, 0.2195)
O (0.3533, 0.9233, 0.6834)
O (0.3598, 0.6751, 0.9333)
O (0.3622, 0.5330, 0.3386)
O (0.4318, 0.7211, 0.4750)
O (0.4667, 0.1195, 0.7577)
O (0.5333, 0.8805, 0.2424)
O (0.5682, 0.2789, 0.5250)
O (0.6378, 0.4670, 0.6614)
O (0.6402, 0.3249, 0.0667)
O (0.6467, 0.0767, 0.3166)
O (0.6467, 0.6898, 0.7805)
O (0.6494, 0.3401, 0.4684)
O (0.6545, 0.4358, 0.2879)
O (0.6941, 0.8089, 0.6131)
O (0.6984, 0.7195, 0.0501)
O (0.7090, 0.2362, 0.0166)
O (0.7757, 0.0370, 0.1888)
O (0.8100, 0.0867, 0.6874)
O (0.8211, 0.6940, 0.4971)
O (0.8293, 0.7851, 0.0654)
O (0.8327, 0.5774, 0.8938)
O (0.8427, 0.7927, 0.2996)
O (0.8659, 0.1397, 0.6212)
O (0.8754, 0.3976, 0.7922)
O (0.9068, 0.9448, 0.9075)
O (0.9718, 0.5496, 0.6182)
O (0.9814, 0.6884, 0.7745)
O (0.9983, 0.8557, 0.5633)

=====

(9)
An optimized crystal structure of Mg5Fe6S6O10, computed with PBE+U.

Output
**Total moment**: 1.259 μB per atom
**Symmetry**: P1, No. 1
**VASP energy**: -5.019 eV/atom

Cell lengths 5.6609, 8.9148, 10.4432 Å; angles 87.13, 89.32, 76.49 degrees
Fractional positions:
Mg (0.0000, 0.0000, 0.0000)
Mg (0.1959, 0.5994, 0.0021)
Mg (0.3983, 0.1996, 0.9964)
Mg (0.5977, 0.7993, 0.0050)
Mg (0.7959, 0.3992, 0.9982)
Fe (0.0268, 0.2656, 0.5146)
Fe (0.1950, 0.9329, 0.4876)
Fe (0.3758, 0.5991, 0.5121)
Fe (0.5271, 0.2682, 0.4870)
Fe (0.6941, 0.9328, 0.5102)
Fe (0.8757, 0.6000, 0.4876)
S (0.0325, 0.7591, 0.6294)
S (0.1985, 0.4406, 0.3694)
S (0.3686, 0.0918, 0.6303)
S (0.5328, 0.7736, 0.3688)
S (0.6988, 0.4259, 0.6319)
S (0.8675, 0.1088, 0.3696)
O (0.0395, 0.2153, 0.0731)
O (0.1556, 0.3848, 0.9216)
O (0.2371, 0.8149, 0.0791)
O (0.3602, 0.9825, 0.9258)
O (0.4372, 0.4128, 0.0739)
O (0.5549, 0.5863, 0.9260)
O (0.6399, 0.0177, 0.0764)
O (0.7584, 0.1839, 0.9221)
O (0.8375, 0.6122, 0.0773)
O (0.9564, 0.7847, 0.9274)

=====

(10)
An optimized crystal structure of MgFe4S6O46, computed with PBE+U.

Output
**Total moment**: 0.550 μB per atom
**Symmetry**: P-1, No. 2
**Relative energy among the computed polymorphs**: 0.168 eV/atom

Cell lengths 7.6427, 7.7046, 17.9634 Å; angles 78.72, 89.81, 77.93 degrees
Fractional positions:
Mg (0.0000, 0.0000, 0.0000)
Fe (0.0452, 0.6733, 0.3065)
Fe (0.4562, 0.2671, 0.3070)
Fe (0.5438, 0.7329, 0.6930)
Fe (0.9548, 0.3267, 0.6935)
S (0.1396, 0.4454, 0.1814)
S (0.1593, 0.2727, 0.4293)
S (0.3172, 0.0535, 0.7479)
S (0.6828, 0.9465, 0.2521)
S (0.8407, 0.7273, 0.5707)
S (0.8604, 0.5546, 0.8186)
O (0.0088, 0.6359, 0.7915)
O (0.0324, 0.1549, 0.4401)
O (0.0817, 0.4393, 0.3682)
O (0.1334, 0.6221, 0.2114)
O (0.1330, 0.8190, 0.3761)
O (0.1360, 0.0771, 0.0813)
O (0.1359, 0.2010, 0.9621)
O (0.1531, 0.4896, 0.0996)
O (0.1708, 0.8870, 0.3072)
O (0.2028, 0.2273, 0.7006)
O (0.2109, 0.3262, 0.4980)
O (0.2229, 0.9878, 0.8144)
O (0.2961, 0.7618, 0.0131)
O (0.3177, 0.3226, 0.2154)
O (0.3275, 0.1764, 0.3949)
O (0.3355, 0.9210, 0.6931)
O (0.3562, 0.7666, 0.5312)
O (0.4145, 0.5209, 0.7033)
O (0.4371, 0.7115, 0.4792)
O (0.4368, 0.7173, 0.0602)
O (0.4431, 0.5167, 0.3363)
O (0.4791, 0.4459, 0.9285)
O (0.4928, 0.0871, 0.7635)
O (0.5072, 0.9129, 0.2365)
O (0.5209, 0.5541, 0.0715)
O (0.5569, 0.4833, 0.6637)
O (0.5632, 0.2827, 0.9398)
O (0.5629, 0.2885, 0.5208)
O (0.5855, 0.4791, 0.2967)
O (0.6438, 0.2334, 0.4688)
O (0.6645, 0.0790, 0.3069)
O (0.6725, 0.8236, 0.6051)
O (0.6823, 0.6774, 0.7846)
O (0.7039, 0.2382, 0.9869)
O (0.7771, 0.0122, 0.1856)
O (0.7891, 0.6738, 0.5020)
O (0.7972, 0.7727, 0.2994)
O (0.8292, 0.1130, 0.6928)
O (0.8469, 0.5104, 0.9004)
O (0.8641, 0.7990, 0.0379)
O (0.8640, 0.9229, 0.9187)
O (0.8670, 0.1810, 0.6239)
O (0.8666, 0.3779, 0.7886)
O (0.9183, 0.5607, 0.6318)
O (0.9676, 0.8451, 0.5599)
O (0.9912, 0.3641, 0.2085)

=====

(11)
An optimized crystal structure of Mg2FeSbO6, computed with PBE+U.

Output
**Total moment**: 0.500 μB per atom
**Symmetry**: P2_1/m, No. 11
**VASP energy**: -6.191 eV/atom

Cell lengths 5.2161, 7.6459, 5.3930 Å; angles 90.00, 90.83, 90.00 degrees
Fractional positions:
Mg (0.0117, 0.2500, 0.0351)
Mg (0.4798, 0.7500, 0.4300)
Mg (0.5202, 0.2500, 0.5700)
Mg (0.9883, 0.7500, 0.9649)
Fe (0.5000, 0.0000, 0.0000)
Fe (0.5000, 0.5000, 0.0000)
Sb (0.0000, 0.0000, 0.5000)
Sb (0.0000, 0.5000, 0.5000)
O (0.1390, 0.2500, 0.4263)
O (0.1718, 0.5692, 0.1888)
O (0.1718, 0.9308, 0.1888)
O (0.3185, 0.5693, 0.6772)
O (0.3185, 0.9307, 0.6772)
O (0.3793, 0.2500, 0.9290)
O (0.6207, 0.7500, 0.0710)
O (0.6815, 0.0693, 0.3228)
O (0.6815, 0.4307, 0.3228)
O (0.8282, 0.0692, 0.8112)
O (0.8282, 0.4308, 0.8112)
O (0.8610, 0.7500, 0.5737)

=====

(12)
An optimized crystal structure of MgFe2Sb2O8, computed with PBE+U.

Output
**Total moment**: 0.615 μB per atom
**Symmetry**: P1, No. 1
**Relative energy among the computed polymorphs**: 0.046 eV/atom

Cell lengths 5.7757, 5.8070, 5.8197 Å; angles 107.60, 106.81, 113.65 degrees
Fractional positions:
Mg (0.0000, 0.0000, 0.0000)
Fe (0.7166, 0.6901, 0.4142)
Fe (0.9934, 0.3760, 0.3840)
Sb (0.2998, 0.6925, 0.0010)
Sb (0.5227, 0.1901, 0.7213)
O (0.2156, 0.8863, 0.7448)
O (0.2496, 0.4491, 0.1795)
O (0.2908, 0.3951, 0.6934)
O (0.2926, 0.9909, 0.2923)
O (0.7129, 0.9766, 0.6974)
O (0.7144, 0.4020, 0.1252)
O (0.7221, 0.9195, 0.1769)
O (0.8507, 0.5151, 0.7398)

=====

(13)
An optimized crystal structure of MgFe2Sb2O8, computed with PBE+U.

Output
**Total moment**: 0.615 μB per atom
**Symmetry**: P1, No. 1
**Relative energy among the computed polymorphs**: 0.000 eV/atom

Cell lengths 5.8908, 5.9732, 6.0578 Å; angles 98.37, 110.88, 117.86 degrees
Fractional positions:
Mg (0.0000, 0.0000, 0.0000)
Fe (0.0081, 0.9951, 0.5053)
Fe (0.7499, 0.3180, 0.0785)
Sb (0.2735, 0.6874, 0.9295)
Sb (0.5248, 0.5031, 0.4991)
O (0.2018, 0.4500, 0.1405)
O (0.2423, 0.4344, 0.6582)
O (0.2901, 0.0107, 0.8661)
O (0.2940, 0.1070, 0.3601)
O (0.7051, 0.9513, 0.1368)
O (0.7056, 0.8948, 0.6421)
O (0.7969, 0.5664, 0.3651)
O (0.8477, 0.5577, 0.8531)

=====

(14)
An optimized crystal structure of MgFe2Sb4O12, computed with PBE+U.

Output
**Total moment**: 0.421 μB per atom
**Symmetry**: P2, No. 3
**Relative energy among the computed polymorphs**: 0.000 eV/atom

Cell lengths 4.9155, 9.7621, 4.9561 Å; angles 90.00, 91.85, 90.00 degrees
Fractional positions:
Mg (0.0000, 0.0000, 0.0000)
Fe (0.0000, 0.4635, 0.5000)
Fe (0.5000, 0.9385, 0.0000)
Sb (0.0000, 0.1539, 0.5000)
Sb (0.0000, 0.7743, 0.5000)
Sb (0.5000, 0.2952, 0.0000)
Sb (0.5000, 0.6200, 0.0000)
O (0.1955, 0.9245, 0.7003)
O (0.2075, 0.6235, 0.6921)
O (0.2260, 0.3026, 0.6866)
O (0.2870, 0.1319, 0.1494)
O (0.2896, 0.7721, 0.1925)
O (0.3079, 0.4584, 0.1745)
O (0.6921, 0.4584, 0.8255)
O (0.7104, 0.7721, 0.8075)
O (0.7130, 0.1319, 0.8506)
O (0.7740, 0.3026, 0.3134)
O (0.7925, 0.6235, 0.3079)
O (0.8045, 0.9245, 0.2997)